Entry 1:
Density functional theory data (PBE-GGA) for a relaxed Na5Zn2Ge2P5SO24 crystal.

Output
For the calculated total energy, the calculation gives -6.243 eV per atom. As for the energy relative to the elements: -91.6 eV/f.u.

Cell: 8.7334 8.7258 21.8643 Å, 90.56 89.37 120.15°
With the nearest neighbours (Å) after each atom.
Fractional positions:
Na: 0.6338 0.0010 0.2528  6 O 2.31-2.55
Na: 0.3736 0.3758 0.2463  5 O 2.32-2.44
Na: 0.9932 0.6187 0.2531  6 O 2.37-2.53
Na: 0.6423 0.6304 0.7470  4 O 2.28-2.45
Na: 0.9869 0.3577 0.7477  4 O 2.33-2.41
Na: 0.3719 0.0159 0.7478  4 O 2.31-2.41
Na: 0.3055 0.9639 0.0744  4 O 2.28-2.43
Na: 0.0378 0.3481 0.0756  4 O 2.28-2.42
Na: 0.7054 0.6768 0.4179  5 O 2.30-2.55
Na: 0.0081 0.0077 0.5002  6 O 2.39-2.44
Na: 0.9959 0.9958 0.9884  5 O 2.32-2.60
Na: 0.6668 0.3310 0.8336  6 O 2.40-2.63
Na: 0.6785 0.3239 0.3368  6 O 2.46-2.66
Na: 0.3494 0.6638 0.1608  6 O 2.38-2.61
Na: 0.3350 0.6662 0.6621  6 O 2.46-2.55
Zn: 0.9887 0.9988 0.3568  6 O 1.97-2.19
Zn: 0.0085 0.0090 0.8528  6 O 1.96-2.18
Zn: 0.6701 0.3367 0.6757  6 O 2.02-2.22
Zn: 0.6700 0.3378 0.1783  4 O 1.94-2.11
Zn: 0.3334 0.6665 0.0147  6 O 1.96-2.15
Zn: 0.3293 0.6678 0.3220  5 O 2.01-2.22
Ge: 0.0004 0.9998 0.6457  6 O 1.95-1.99
Ge: 0.9876 0.9977 0.1432  6 O 1.87-2.08
Ge: 0.6695 0.3274 0.9817  6 O 1.91-2.12
Ge: 0.6786 0.3290 0.4896  5 O 1.84-1.92
Ge: 0.3314 0.6740 0.5198  6 O 1.84-2.02
Ge: 0.3259 0.6701 0.8183  6 O 1.88-2.04
P: 0.7100 0.7101 0.2510  4 O 1.53-1.60
P: 0.0018 0.2880 0.2487  4 O 1.51-1.61
P: 0.2896 0.2957 0.7501  4 O 1.50-1.60
P: 0.0041 0.7144 0.7506  4 O 1.50-1.60
P: 0.7070 0.9933 0.7513  4 O 1.50-1.60
P: 0.9725 0.3338 0.5846  4 O 1.52-1.56
P: 0.3687 0.0382 0.5843  4 O 1.52-1.57
P: 0.6651 0.6338 0.5825  4 O 1.52-1.58
P: 0.9532 0.6316 0.0843  4 O 1.52-1.58
P: 0.6700 0.0391 0.0851  4 O 1.51-1.58
P: 0.3719 0.3280 0.0854  4 O 1.51-1.61
P: 0.0312 0.3741 0.9196  4 O 1.51-1.61
P: 0.3411 0.9687 0.9199  4 O 1.51-1.62
P: 0.6206 0.9675 0.4197  4 O 1.53-1.57
P: 0.0348 0.6572 0.4201  4 O 1.53-1.60
S: 0.2849 0.9981 0.2487  4 O 1.45-1.52
S: 0.6222 0.6558 0.9168  4 O 1.45-1.54
S: 0.3399 0.3728 0.4198  4 O 1.47-1.50
O: 0.1988 0.0186 0.3028  1 S 1.45
O: 0.8170 0.7846 0.3095  1 P 1.53
O: 0.9769 0.1727 0.3034  1 P 1.51
O: 0.2163 0.1804 0.8057  1 P 1.50
O: 0.9656 0.7910 0.8065  1 P 1.50
O: 0.8215 0.0294 0.8065  1 P 1.50
O: 0.7883 0.9494 0.6925  1 P 1.60
O: 0.1626 0.2127 0.6928  1 P 1.59
O: 0.0484 0.8380 0.6924  1 P 1.59
O: 0.8055 0.8348 0.1937  1 P 1.60
O: 0.0315 0.2031 0.1870  1 P 1.61
O: 0.1821 0.9766 0.1904  1 S 1.52
O: 0.9038 0.3710 0.6437  1 P 1.52
O: 0.4692 0.1056 0.6440  1 P 1.52
O: 0.6303 0.5294 0.6413  1 P 1.52
O: 0.8864 0.5313 0.1443  1 P 1.52
O: 0.6396 0.1116 0.1450  1 P 1.53
O: 0.4627 0.3465 0.1464  1 P 1.52
O: 0.4667 0.2884 0.0308  1 P 1.58
O: 0.8284 0.5362 0.0290  1 P 1.56
O: 0.7127 0.1729 0.0308  1 P 1.58
O: 0.4676 0.1672 0.5302  1 P 1.56
O: 0.6957 0.5383 0.5260  1 P 1.58
O: 0.8451 0.2982 0.5299  1 P 1.56
O: 0.5377 0.6752 0.9714  1 S 1.45
O: 0.1333 0.4570 0.9778  1 P 1.51
O: 0.3274 0.8686 0.9778  1 P 1.51
O: 0.5174 0.8302 0.4713  1 P 1.56
O: 0.3162 0.4671 0.4722  1 S 1.48
O: 0.1579 0.6768 0.4734  1 P 1.54
O: 0.0984 0.6224 0.3585  1 P 1.53
O: 0.5243 0.9015 0.3583  1 P 1.54
O: 0.3718 0.4739 0.3616  1 S 1.50
O: 0.1239 0.4949 0.8602  1 P 1.61
O: 0.3737 0.8787 0.8600  1 P 1.62
O: 0.5124 0.6297 0.8587  1 S 1.54
O: 0.0095 0.8182 0.4208  1 P 1.53
O: 0.8037 0.9852 0.4211  1 P 1.53
O: 0.1845 0.1939 0.4174  1 S 1.47
O: 0.0000 0.1888 0.9121  1 P 1.51
O: 0.1812 0.9895 0.9127  1 P 1.51
O: 0.7992 0.8091 0.9105  1 S 1.46
O: 0.9873 0.1634 0.5877  1 P 1.56
O: 0.1818 0.0209 0.5869  1 P 1.56
O: 0.8377 0.8201 0.5857  1 P 1.57
O: 0.9698 0.8204 0.0870  1 P 1.58
O: 0.8493 0.0357 0.0861  1 P 1.58
O: 0.1831 0.1482 0.0856  1 P 1.61
O: 0.6764 0.1500 0.7423  1 P 1.53
O: 0.4778 0.3288 0.7403  1 P 1.53
O: 0.8487 0.5256 0.7413  1 P 1.53
O: 0.6851 0.5231 0.2443  1 P 1.54
O: 0.8346 0.3053 0.2451  1 P 1.54
O: 0.4646 0.1561 0.2457  1 S 1.48
O: 0.6298 0.4875 0.9191  1 S 1.50
O: 0.8485 0.3728 0.9221  1 P 1.59
O: 0.5187 0.1555 0.9220  1 P 1.59
O: 0.6325 0.1511 0.4307  1 P 1.57
O: 0.5062 0.3642 0.4267  1 S 1.50
O: 0.8433 0.4855 0.4293  1 P 1.60
O: 0.3394 0.4815 0.0775  1 P 1.51
O: 0.1414 0.6621 0.0770  1 P 1.53
O: 0.5126 0.8556 0.0762  1 P 1.51
O: 0.3436 0.8488 0.5737  1 P 1.57
O: 0.5014 0.6577 0.5715  1 P 1.57
O: 0.1602 0.4978 0.5726  1 P 1.56
O: 0.3004 0.8359 0.2498  1 S 1.49
O: 0.5280 0.6992 0.2524  1 P 1.54
O: 0.1699 0.4725 0.2498  1 P 1.54
O: 0.2986 0.4827 0.7565  1 P 1.60
O: 0.1817 0.7039 0.7559  1 P 1.60
O: 0.5182 0.8157 0.7565  1 P 1.60

---

Entry 2:
Density functional theory data (PBE-GGA) for a relaxed MgAl2H8 crystal.

Output
For the calculated total energy, the calculation gives -3.299 eV per atom. For the energy relative to the lowest polymorph listed for this composition, the calculation gives 13.5 meV/atom. As for the energy relative to the elements: -1.5 eV/f.u.

Cell: 4.6187 4.7962 6.4649 Å, 81.08 75.55 62.80°
With the nearest neighbours (Å) after each atom.
Fractional positions:
Mg: 0.0000 0.0000 0.0000  6 H 1.85-2.01
Al: 0.4178 0.3690 0.7040  4 H 1.56-1.68
Al: 0.5822 0.6310 0.2960  4 H 1.56-1.67
H: 0.3583 0.0626 0.8360  1 Al 1.68, 1 Mg 1.85
H: 0.0794 0.6685 0.8081  1 Al 1.64
H: 0.7461 0.3117 0.7928  1 Al 1.65
H: 0.5344 0.7115 0.5303  1 Al 1.56
H: 0.4656 0.2885 0.4697  1 Al 1.56
H: 0.2539 0.6883 0.2072  1 Al 1.65
H: 0.9060 0.3319 0.1820  1 Al 1.63
H: 0.6262 0.9371 0.1537  1 Al 1.67

---

Entry 3:
Density functional theory data (PBE-GGA) for a relaxed Dy2HfS5 crystal.

Output
For the calculated total energy, the calculation gives -6.859 eV per atom. As for the energy relative to the elements: -17.5 eV/f.u.

Cell: 7.2500 7.7354 11.5475 Å, 90.00 90.00 90.00°
With the nearest neighbours (Å) after each atom.
Fractional positions:
Dy: 0.5237 0.0025 0.3216  8 S 2.81-2.97
Dy: 0.9763 0.4975 0.8216  8 S 2.81-2.97
Dy: 0.4763 0.5025 0.6784  8 S 2.81-2.97
Dy: 0.0237 0.9975 0.1784  8 S 2.81-2.97
Dy: 0.4763 0.9975 0.6784  8 S 2.81-2.97
Dy: 0.0237 0.5025 0.1784  8 S 2.81-2.97
Dy: 0.5237 0.4975 0.3216  8 S 2.81-2.97
Dy: 0.9763 0.0025 0.8216  8 S 2.81-2.97
Hf: 0.0755 0.7500 0.4941  7 S 2.51-2.69
Hf: 0.4245 0.7500 0.9941  7 S 2.51-2.69
Hf: 0.9245 0.2500 0.5059  7 S 2.51-2.69
Hf: 0.5755 0.2500 0.0059  7 S 2.51-2.69
S: 0.8390 0.5362 0.5937  2 Hf 2.51-2.65
S: 0.6610 0.9638 0.0937  2 Hf 2.51-2.65
S: 0.1610 0.0362 0.4063  2 Hf 2.51-2.65
S: 0.3390 0.4638 0.9063  2 Hf 2.51-2.65
S: 0.1610 0.4638 0.4063  2 Hf 2.51-2.65
S: 0.3390 0.0362 0.9063  2 Hf 2.51-2.65
S: 0.8390 0.9638 0.5937  2 Hf 2.51-2.65
S: 0.6610 0.5362 0.0937  2 Hf 2.51-2.65
S: 0.8329 0.7500 0.3188  1 Hf 2.68, 4 Dy 2.86-2.97
S: 0.6671 0.7500 0.8188  1 Hf 2.68, 4 Dy 2.86-2.97
S: 0.1671 0.2500 0.6812  1 Hf 2.68, 4 Dy 2.86-2.97
S: 0.3329 0.2500 0.1812  1 Hf 2.68, 4 Dy 2.86-2.97
S: 0.4466 0.7500 0.4967  1 Hf 2.69, 4 Dy 2.85-2.87
S: 0.0534 0.7500 0.9967  1 Hf 2.69, 4 Dy 2.85-2.87
S: 0.5534 0.2500 0.5033  1 Hf 2.69, 4 Dy 2.85-2.87
S: 0.9466 0.2500 0.0033  1 Hf 2.69, 4 Dy 2.85-2.87
S: 0.1883 0.7500 0.7072  1 Hf 2.59, 4 Dy 2.81-2.85
S: 0.3117 0.7500 0.2072  1 Hf 2.59, 4 Dy 2.81-2.85
S: 0.8117 0.2500 0.2928  1 Hf 2.59, 4 Dy 2.81-2.85
S: 0.6883 0.2500 0.7928  1 Hf 2.59, 4 Dy 2.81-2.85

---

Entry 4:
Density functional theory data (PBE-GGA) for a relaxed Sc2Te3 crystal.

Output
For the calculated total energy, the calculation gives -5.646 eV per atom. As for the energy relative to the elements: -7.4 eV/f.u.

Cell: 13.7370 13.0962 7.1992 Å, 79.42 69.58 31.01°
With the nearest neighbours (Å) after each atom.
Fractional positions:
Sc: 0.3320 0.3320 0.1680  6 Te 2.93-2.96
Sc: 0.1680 0.1680 0.3320  6 Te 2.93-2.96
Sc: 0.9180 0.9180 0.0820  6 Te 2.93-2.96
Sc: 0.0820 0.0820 0.9180  6 Te 2.93-2.96
Sc: 0.0004 0.0004 0.4996  6 Te 2.92-2.94
Sc: 0.4996 0.4996 0.0004  6 Te 2.92-2.94
Sc: 0.2496 0.2496 0.7504  6 Te 2.92-2.94
Sc: 0.7504 0.7504 0.2496  6 Te 2.92-2.94
Te: 0.9976 0.5024 0.5024  4 Sc 2.93-2.94
Te: 0.5024 0.9976 0.9976  4 Sc 2.93-2.94
Te: 0.2524 0.7476 0.7476  4 Sc 2.93-2.94
Te: 0.7476 0.2524 0.2524  4 Sc 2.93-2.94
Te: 0.6666 0.1674 0.8342  4 Sc 2.92-2.96
Te: 0.3317 0.8342 0.1674  4 Sc 2.92-2.96
Te: 0.8342 0.3317 0.6666  4 Sc 2.92-2.96
Te: 0.1674 0.6666 0.3317  4 Sc 2.92-2.96
Te: 0.5834 0.0826 0.4158  4 Sc 2.92-2.96
Te: 0.9183 0.4158 0.0826  4 Sc 2.92-2.96
Te: 0.4158 0.9183 0.5834  4 Sc 2.92-2.96
Te: 0.0826 0.5834 0.9183  4 Sc 2.92-2.96